1.
! TmGePd2 | the Materials Project | r2SCAN | relaxed; values from VASP
! Total magnetization   0.000 μB/atom
! Uncorrected energy   -98.7 eV per formula unit
! Formation energy from the elements   -950 meV/atom
&SYSTEM
  ibrav = 0, nat = 16, ntyp = 3
/
ATOMIC_SPECIES
Ge 72.64 Ge.upf
Pd 106.42 Pd.upf
Tm 168.93 Tm.upf
CELL_PARAMETERS angstrom
5.5324 0.0000 0.0000
0.0000 7.0781 0.0000
0.0000 0.0000 7.2540
ATOMIC_POSITIONS crystal
Ge 0.1428 0.2500 0.1198
Ge 0.8572 0.7500 0.8802
Ge 0.3572 0.2500 0.6198
Ge 0.6428 0.7500 0.3802
Pd 0.9143 0.9488 0.1840
Pd 0.5857 0.9488 0.6840
Pd 0.9143 0.5512 0.1840
Pd 0.0857 0.4488 0.8160
Pd 0.4143 0.0512 0.3160
Pd 0.4143 0.4488 0.3160
Pd 0.0857 0.0512 0.8160
Pd 0.5857 0.5512 0.6840
Tm 0.8546 0.2500 0.4732
Tm 0.6454 0.2500 0.9732
Tm 0.3546 0.7500 0.0268
Tm 0.1454 0.7500 0.5268

***

2.
! YGePd2 | the Materials Project | r2SCAN | relaxed; values from VASP
! Total magnetization   0.000 μB/atom
! Uncorrected energy   -83.9 eV per formula unit
! Formation energy from the elements   -943 meV/atom
&SYSTEM
  ibrav = 0, nat = 16, ntyp = 3
/
ATOMIC_SPECIES
Pd 106.42 Pd.upf
Ge 72.64 Ge.upf
Y 88.91 Y.upf
CELL_PARAMETERS angstrom
5.5787 0.0000 0.0000
0.0000 7.0756 0.0000
0.0000 0.0000 7.3887
ATOMIC_POSITIONS crystal
Pd 0.4113 0.0519 0.3193
Pd 0.5887 0.9481 0.6807
Pd 0.9113 0.5519 0.1807
Pd 0.9113 0.9481 0.1807
Pd 0.0887 0.4481 0.8193
Pd 0.0887 0.0519 0.8193
Pd 0.5887 0.5519 0.6807
Pd 0.4113 0.4481 0.3193
Ge 0.1440 0.2500 0.1213
Ge 0.3560 0.2500 0.6213
Ge 0.6440 0.7500 0.3787
Ge 0.8560 0.7500 0.8787
Y 0.6454 0.2500 0.9708
Y 0.1454 0.7500 0.5292
Y 0.8546 0.2500 0.4708
Y 0.3546 0.7500 0.0292

***

3.
! YGe2Pd | the Materials Project | r2SCAN | relaxed; values from VASP
! Total magnetization   0.000 μB/atom
! Uncorrected energy   -74.2 eV per formula unit
! Formation energy from the elements   -800 meV/atom
&SYSTEM
  ibrav = 0, nat = 16, ntyp = 3
/
ATOMIC_SPECIES
Y 88.91 Y.upf
Ge 72.64 Ge.upf
Pd 106.42 Pd.upf
CELL_PARAMETERS angstrom
0.3051 2.7196 3.3477
-6.8637 4.4587 -2.9968
-1.7389 -8.3786 4.1919
ATOMIC_POSITIONS crystal
Y 0.7985 0.7986 0.5973
Y 0.0000 0.2395 0.0000
Y 0.2015 0.2014 0.4027
Y 0.0000 0.7605 0.0000
Ge 0.8027 0.4524 0.6045
Ge 0.5738 0.5735 0.1471
Ge 0.8027 0.1521 0.6045
Ge 0.1973 0.8479 0.3955
Ge 0.5740 0.0740 0.1480
Ge 0.1973 0.5476 0.3955
Ge 0.4262 0.4265 0.8529
Ge 0.4260 0.9260 0.8520
Pd 0.6480 0.8966 0.2963
Pd 0.3520 0.6004 0.7037
Pd 0.3519 0.1034 0.7038
Pd 0.6480 0.3996 0.2963

***

4.
! Yb3Ge4Pd4 | the Materials Project | r2SCAN | relaxed; values from VASP
! Total magnetization   0.000 μB/atom
! Uncorrected energy   -267.3 eV per formula unit
! Formation energy from the elements   -946 meV/atom
&SYSTEM
  ibrav = 0, nat = 11, ntyp = 3
/
ATOMIC_SPECIES
Pd 106.42 Pd.upf
Ge 72.64 Ge.upf
Yb 173.04 Yb.upf
CELL_PARAMETERS angstrom
-2.0532 3.5154 6.8657
2.0532 -3.5154 6.8657
2.0532 3.5154 -6.8657
ATOMIC_POSITIONS crystal
Pd 0.0262 0.3249 0.7013
Pd 0.9738 0.6751 0.2987
Pd 0.3765 0.6751 0.7013
Pd 0.6235 0.3249 0.2987
Ge 0.3121 0.5000 0.8121
Ge 0.2189 0.2189 0.0000
Ge 0.6879 0.5000 0.1879
Ge 0.7811 0.7811 0.0000
Yb 0.0000 0.0000 0.0000
Yb 0.3745 0.8745 0.5000
Yb 0.6255 0.1255 0.5000

***

5.
! Pr4Ge7 | the Materials Project | r2SCAN | relaxed; values from VASP
! Total magnetization   0.000 μB/atom
! Uncorrected energy   -223.4 eV per formula unit
! Formation energy from the elements   -785 meV/atom
&SYSTEM
  ibrav = 0, nat = 22, ntyp = 2
/
ATOMIC_SPECIES
Pr 140.91 Pr.upf
Ge 72.64 Ge.upf
CELL_PARAMETERS angstrom
3.0361 7.0259 0.0000
-3.0361 7.0259 0.0000
0.0000 0.0000 12.1495
ATOMIC_POSITIONS crystal
Pr 0.0109 0.9891 0.0000
Pr 0.5032 0.5032 0.2500
Pr 0.0092 0.4806 0.1192
Pr 0.4806 0.0092 0.3808
Pr 0.4968 0.4968 0.7500
Pr 0.5194 0.9908 0.8808
Pr 0.9891 0.0109 0.5000
Pr 0.9908 0.5194 0.6192
Ge 0.6030 0.5717 0.9901
Ge 0.9334 0.9334 0.7500
Ge 0.5809 0.0767 0.6281
Ge 0.3291 0.9741 0.6604
Ge 0.6709 0.0259 0.1604
Ge 0.3970 0.4283 0.4901
Ge 0.0259 0.6709 0.3396
Ge 0.9233 0.4191 0.3719
Ge 0.0767 0.5809 0.8719
Ge 0.4191 0.9233 0.1281
Ge 0.9741 0.3291 0.8396
Ge 0.0666 0.0666 0.2500
Ge 0.5717 0.6030 0.5099
Ge 0.4283 0.3970 0.0099

***

6.
! Pr4Ge3 | the Materials Project | r2SCAN | relaxed; values from VASP
! Total magnetization   0.000 μB/atom
! Uncorrected energy   -165.8 eV per formula unit
! Formation energy from the elements   -936 meV/atom
&SYSTEM
  ibrav = 0, nat = 14, ntyp = 2
/
ATOMIC_SPECIES
Pr 140.91 Pr.upf
Ge 72.64 Ge.upf
CELL_PARAMETERS angstrom
7.5573 0.0002 -2.6718
-3.7785 6.5449 -2.6718
0.0001 0.0002 8.0157
ATOMIC_POSITIONS crystal
Pr 0.8718 0.5000 0.0000
Pr 0.3718 0.5000 0.0000
Pr 0.0000 0.8718 0.5000
Pr 0.5000 0.0000 0.8718
Pr 0.0000 0.3718 0.5000
Pr 0.5000 0.0000 0.3718
Pr 0.6282 0.6282 0.6282
Pr 0.1282 0.1282 0.1282
Ge 0.3750 0.2500 0.6250
Ge 0.6250 0.3750 0.2500
Ge 0.1250 0.7500 0.8750
Ge 0.8750 0.1250 0.7500
Ge 0.2500 0.6250 0.3750
Ge 0.7500 0.8750 0.1250

***

7.
! PrGe2 | the Materials Project | r2SCAN | relaxed; values from VASP
! Total magnetization   0.000 μB/atom
! Uncorrected energy   -59.2 eV per formula unit
! Formation energy from the elements   -680 meV/atom
&SYSTEM
  ibrav = 0, nat = 6, ntyp = 2
/
ATOMIC_SPECIES
Ge 72.64 Ge.upf
Pr 140.91 Pr.upf
CELL_PARAMETERS angstrom
4.0514 0.0000 -1.1823
-0.3450 4.0367 -1.1823
0.2554 0.2782 8.4081
ATOMIC_POSITIONS crystal
Ge 0.4563 0.2063 0.4126
Ge 0.2937 0.0437 0.0874
Ge 0.5437 0.7937 0.5874
Ge 0.7063 0.9563 0.9126
Pr 0.8750 0.6250 0.2500
Pr 0.1250 0.3750 0.7500

***

8.
! PrGePt | the Materials Project | r2SCAN | relaxed; values from VASP
! Total magnetization   0.000 μB/atom
! Uncorrected energy   -98.3 eV per formula unit
! Formation energy from the elements   -1162 meV/atom
&SYSTEM
  ibrav = 0, nat = 24, ntyp = 3
/
ATOMIC_SPECIES
Ge 72.64 Ge.upf
Pr 140.91 Pr.upf
Pt 195.08 Pt.upf
CELL_PARAMETERS angstrom
-3.1585 1.8753 2.5402
0.4252 -5.9010 4.8851
10.4306 7.1304 7.7054
ATOMIC_POSITIONS crystal
Ge 0.5000 0.4102 0.6505
Ge 0.0000 0.5898 0.1505
Ge 0.0000 0.9124 0.5940
Ge 0.0000 0.5898 0.8495
Ge 0.5000 0.0876 0.9060
Ge 0.5000 0.4102 0.3495
Ge 0.5000 0.0876 0.0940
Ge 0.0000 0.9124 0.4060
Pr 0.5000 0.7904 0.2533
Pr 0.5000 0.7033 0.5000
Pr 0.0000 0.2096 0.2467
Pr 0.0000 0.2096 0.7533
Pr 0.5000 0.7084 0.0000
Pr 0.5000 0.7904 0.7467
Pr 0.0000 0.2916 0.5000
Pr 0.0000 0.2967 0.0000
Pt 0.0000 0.9208 0.8905
Pt 0.0000 0.9208 0.1095
Pt 0.5000 0.4175 0.8495
Pt 0.0000 0.5825 0.6505
Pt 0.5000 0.0792 0.6095
Pt 0.5000 0.0792 0.3905
Pt 0.5000 0.4175 0.1505
Pt 0.0000 0.5825 0.3495

***

9.
! Pr2Ge5Rh3 | the Materials Project | r2SCAN | relaxed; values from VASP
! Total magnetization   0.025 μB/atom
! Uncorrected energy   -209.3 eV per formula unit
! Formation energy from the elements   -871 meV/atom
&SYSTEM
  ibrav = 0, nat = 20, ntyp = 3
/
ATOMIC_SPECIES
Ge 72.64 Ge.upf
Rh 102.91 Rh.upf
Pr 140.91 Pr.upf
CELL_PARAMETERS angstrom
2.8517 -1.6299 7.7686
5.1586 6.6664 -0.2967
-8.3029 -1.4680 0.1650
ATOMIC_POSITIONS crystal
Ge 0.2243 0.4744 0.2499
Ge 0.2584 0.6006 0.6576
Ge 0.0571 0.8993 0.1576
Ge 0.7757 0.5256 0.7501
Ge 0.5000 0.7498 0.2498
Ge 0.2243 0.9744 0.7501
Ge 0.7416 0.3994 0.3424
Ge 0.5000 0.2502 0.7502
Ge 0.7757 0.0256 0.2499
Ge 0.9429 0.1007 0.8424
Rh 0.7473 0.1399 0.6070
Rh 0.4671 0.3599 0.1072
Rh 0.2527 0.8601 0.3930
Rh 0.0000 0.7499 0.7499
Rh 0.0000 0.2501 0.2501
Rh 0.5329 0.6401 0.8928
Pr 0.5989 0.8677 0.7314
Pr 0.8637 0.6324 0.2314
Pr 0.4011 0.1323 0.2686
Pr 0.1363 0.3676 0.7686

***

10.
! PrGe4Rh6 | the Materials Project | r2SCAN | relaxed; values from VASP
! Total magnetization   0.000 μB/atom
! Uncorrected energy   -238.3 eV per formula unit
! Formation energy from the elements   -778 meV/atom
&SYSTEM
  ibrav = 0, nat = 11, ntyp = 3
/
ATOMIC_SPECIES
Ge 72.64 Ge.upf
Pr 140.91 Pr.upf
Rh 102.91 Rh.upf
CELL_PARAMETERS angstrom
-5.6492 -4.4105 -0.0579
4.6050 -0.0029 -5.4921
2.1099 -2.7257 1.7705
ATOMIC_POSITIONS crystal
Ge 0.3983 0.1991 0.5000
Ge 0.3333 0.6667 0.0000
Ge 0.8009 0.6017 0.5000
Ge 0.8009 0.1991 0.5000
Pr 0.0000 0.0000 0.0000
Rh 0.9338 0.4669 0.0000
Rh 0.5331 0.4669 0.0000
Rh 0.2011 0.4022 0.5000
Rh 0.5978 0.7989 0.5000
Rh 0.5331 0.0662 0.0000
Rh 0.2011 0.7989 0.5000

***

11.
! Pr3Ge2Rh2 | the Materials Project | r2SCAN | relaxed; values from VASP
! Total magnetization   0.000 μB/atom
! Uncorrected energy   -170.6 eV per formula unit
! Formation energy from the elements   -905 meV/atom
&SYSTEM
  ibrav = 0, nat = 28, ntyp = 3
/
ATOMIC_SPECIES
Pr 140.91 Pr.upf
Rh 102.91 Rh.upf
Ge 72.64 Ge.upf
CELL_PARAMETERS angstrom
5.7263 0.0000 0.0000
0.0000 8.1172 0.0000
0.0000 0.0000 13.5417
ATOMIC_POSITIONS crystal
Pr 0.1441 0.1093 0.9008
Pr 0.1441 0.3907 0.0992
Pr 0.3598 0.7499 0.7500
Pr 0.6402 0.2499 0.7500
Pr 0.1441 0.3907 0.4008
Pr 0.8559 0.8907 0.0992
Pr 0.8559 0.6093 0.5992
Pr 0.3598 0.7501 0.2500
Pr 0.8559 0.8907 0.4008
Pr 0.1441 0.1093 0.5992
Pr 0.8559 0.6093 0.9008
Pr 0.6402 0.2501 0.2500
Rh 0.3803 0.4622 0.5909
Rh 0.6197 0.9622 0.5909
Rh 0.3803 0.0378 0.0909
Rh 0.6197 0.9622 0.9091
Rh 0.6197 0.5378 0.0909
Rh 0.6197 0.5378 0.4091
Rh 0.3803 0.4622 0.9091
Rh 0.3803 0.0378 0.4091
Ge 0.6469 0.2500 0.5000
Ge 0.1476 0.3964 0.7500
Ge 0.8524 0.8964 0.7500
Ge 0.6469 0.2500 0.0000
Ge 0.8524 0.6036 0.2500
Ge 0.3531 0.7500 0.5000
Ge 0.1476 0.1036 0.2500
Ge 0.3531 0.7500 0.0000

***

12.
! PrGeRu | the Materials Project | r2SCAN | relaxed; values from VASP
! Total magnetization   0.000 μB/atom
! Uncorrected energy   -70.8 eV per formula unit
! Formation energy from the elements   -711 meV/atom
&SYSTEM
  ibrav = 0, nat = 6, ntyp = 3
/
ATOMIC_SPECIES
Pr 140.91 Pr.upf
Ru 101.07 Ru.upf
Ge 72.64 Ge.upf
CELL_PARAMETERS angstrom
-0.3716 -1.2731 4.1081
-2.5220 -3.2756 -1.2432
5.6032 -4.0322 -0.7427
ATOMIC_POSITIONS crystal
Pr 0.2500 0.2500 0.6881
Pr 0.7500 0.7500 0.3119
Ru 0.7500 0.2500 0.0000
Ru 0.2500 0.7500 0.0000
Ge 0.2500 0.2500 0.1863
Ge 0.7500 0.7500 0.8137

***

13.
! Pr3Ge13Ru4 | the Materials Project | r2SCAN | relaxed; values from VASP
! Total magnetization   0.000 μB/atom
! Uncorrected energy   -378.5 eV per formula unit
! Formation energy from the elements   -413 meV/atom
&SYSTEM
  ibrav = 0, nat = 40, ntyp = 3
/
ATOMIC_SPECIES
Ge 72.64 Ge.upf
Pr 140.91 Pr.upf
Ru 101.07 Ru.upf
CELL_PARAMETERS angstrom
9.1202 0.0000 0.0000
0.0000 9.1202 0.0000
0.0000 0.0000 9.1202
ATOMIC_POSITIONS crystal
Ge 0.2915 0.0000 0.8540
Ge 0.7915 0.6460 0.5000
Ge 0.3540 0.5000 0.7915
Ge 0.5000 0.5000 0.5000
Ge 0.1460 0.7085 0.0000
Ge 0.5000 0.7915 0.6460
Ge 0.7085 0.0000 0.8540
Ge 0.3540 0.5000 0.2085
Ge 0.2085 0.6460 0.5000
Ge 0.7085 0.0000 0.1460
Ge 0.1460 0.2915 0.0000
Ge 0.5000 0.7915 0.3540
Ge 0.0000 0.1460 0.7085
Ge 0.2085 0.3540 0.5000
Ge 0.7915 0.3540 0.5000
Ge 0.6460 0.5000 0.7915
Ge 0.8540 0.7085 0.0000
Ge 0.0000 0.8540 0.7085
Ge 0.0000 0.8539 0.2915
Ge 0.0000 0.1460 0.2915
Ge 0.5000 0.2085 0.3540
Ge 0.8540 0.2915 0.0000
Ge 0.5000 0.2085 0.6460
Ge 0.6460 0.5000 0.2085
Ge 0.0000 0.0000 0.0000
Ge 0.2915 0.0000 0.1460
Pr 0.5000 0.7500 0.0000
Pr 0.0000 0.5000 0.2500
Pr 0.5000 0.2500 0.0000
Pr 0.0000 0.5000 0.7500
Pr 0.7500 0.0000 0.5000
Pr 0.2500 0.0000 0.5000
Ru 0.2500 0.7500 0.7500
Ru 0.2500 0.2500 0.2500
Ru 0.7500 0.2500 0.2500
Ru 0.7500 0.7500 0.2500
Ru 0.7500 0.7500 0.7500
Ru 0.2500 0.2500 0.7500
Ru 0.7500 0.2500 0.7500
Ru 0.2500 0.7500 0.2500

***

14.
! Pr4Ge3S12 | the Materials Project | r2SCAN | relaxed; values from VASP
! Total magnetization   0.000 μB/atom
! Uncorrected energy   -283.4 eV per formula unit
! Formation energy from the elements   -1461 meV/atom
&SYSTEM
  ibrav = 0, nat = 38, ntyp = 3
/
ATOMIC_SPECIES
S 32.06 S.upf
Ge 72.64 Ge.upf
Pr 140.91 Pr.upf
CELL_PARAMETERS angstrom
-9.6574 0.7301 6.3309
0.2486 -8.8326 -7.4701
9.8118 1.6332 5.9110
ATOMIC_POSITIONS crystal
S 0.1834 0.1832 0.3695
S 0.6832 0.6834 0.8695
S 0.5808 0.1239 0.8468
S 0.3846 0.3122 0.7796
S 0.8468 0.5808 0.1239
S 0.3695 0.1834 0.1832
S 0.6120 0.5838 0.2962
S 0.8846 0.2796 0.8122
S 0.6834 0.8695 0.6832
S 0.6239 0.0808 0.3468
S 0.7962 0.0838 0.1120
S 0.8695 0.6832 0.6834
S 0.2796 0.8122 0.8846
S 0.0808 0.3468 0.6239
S 0.1120 0.7962 0.0838
S 0.7796 0.3846 0.3122
S 0.2962 0.6120 0.5838
S 0.3468 0.6239 0.0808
S 0.0838 0.1120 0.7962
S 0.3122 0.7796 0.3846
S 0.1832 0.3695 0.1834
S 0.1239 0.8468 0.5808
S 0.5838 0.2962 0.6120
S 0.8122 0.8846 0.2796
Ge 0.3525 0.9662 0.1400
Ge 0.4662 0.8525 0.6400
Ge 0.1400 0.3525 0.9662
Ge 0.8525 0.6400 0.4662
Ge 0.6400 0.4662 0.8525
Ge 0.9662 0.1400 0.3525
Pr 0.9954 0.9954 0.9954
Pr 0.7082 0.9321 0.4711
Pr 0.4321 0.2082 0.9711
Pr 0.2082 0.9711 0.4321
Pr 0.9321 0.4711 0.7082
Pr 0.9711 0.4321 0.2082
Pr 0.4954 0.4954 0.4954
Pr 0.4711 0.7082 0.9321

***

15.
! Pr12Ge5S28 | the Materials Project | r2SCAN | relaxed; values from VASP
! Total magnetization   0.000 μB/atom
! Uncorrected energy   -725.2 eV per formula unit
! Formation energy from the elements   -1734 meV/atom
&SYSTEM
  ibrav = 0, nat = 45, ntyp = 3
/
ATOMIC_SPECIES
S 32.06 S.upf
Pr 140.91 Pr.upf
Ge 72.64 Ge.upf
CELL_PARAMETERS angstrom
7.6777 -6.2788 2.5443
6.9875 9.2584 1.7598
-9.8791 -1.1668 6.3264
ATOMIC_POSITIONS crystal
S 0.1410 0.3025 0.9139
S 0.8462 0.1624 0.0814
S 0.0957 0.0040 0.2677
S 0.5193 0.2941 0.1018
S 0.8959 0.9550 0.4200
S 0.5855 0.9844 0.4806
S 0.1148 0.2907 0.6028
S 0.5807 0.4779 0.4742
S 0.9067 0.4860 0.7396
S 0.1715 0.8211 0.9057
S 0.8925 0.4456 0.4116
S 0.7690 0.2740 0.8561
S 0.0982 0.7763 0.5719
S 0.6584 0.1399 0.3185
S 0.7362 0.7807 0.8269
S 0.4793 0.9330 0.8894
S 0.4816 0.4420 0.9000
S 0.3985 0.7435 0.5082
S 0.8348 0.6640 0.0959
S 0.3356 0.0626 0.6687
S 0.0848 0.4576 0.2281
S 0.3326 0.5608 0.6660
S 0.2613 0.6999 0.1674
S 0.9163 0.0043 0.7635
S 0.2367 0.1980 0.1531
S 0.6740 0.6558 0.3475
S 0.5245 0.7976 0.1084
S 0.4286 0.2564 0.5328
Pr 0.1307 0.2973 0.3671
Pr 0.2327 0.0501 0.8683
Pr 0.8629 0.2004 0.6329
Pr 0.3646 0.4964 0.2299
Pr 0.7773 0.9290 0.1206
Pr 0.8797 0.6930 0.6544
Pr 0.1247 0.8095 0.3480
Pr 0.6538 0.5233 0.7797
Pr 0.2266 0.5731 0.8784
Pr 0.6340 0.9941 0.7593
Pr 0.7687 0.4500 0.1356
Pr 0.3464 0.9814 0.2234
Ge 0.3408 0.2513 0.6740
Ge 0.6688 0.8364 0.3356
Ge 0.3265 0.7440 0.6614
Ge 0.9981 0.2337 0.9996
Ge 0.6638 0.3312 0.3300